Density functional theory data (PBE-GGA) for a geometry-optimized BeAl6O10 structure.

a b c (Å): 9.008 13.959 9.647
angles (deg): 90.00 90.02 90.00
Space group P2_1/c (No. 14)
Asymmetric unit:
Be: 0.156 0.144 0.126 [4 per cell]
Be: 0.344 0.645 0.372 [4 per cell]
Al: 0.059 0.149 0.459 [4 per cell]
Al: 0.123 0.641 0.545 [4 per cell]
Al: 0.129 0.541 0.280 [4 per cell]
Al: 0.130 0.748 0.294 [4 per cell]
Al: 0.140 0.542 0.807 [4 per cell]
Al: 0.146 0.156 0.790 [4 per cell]
Al: 0.354 0.655 0.039 [4 per cell]
Al: 0.365 0.040 0.030 [4 per cell]
Al: 0.366 0.043 0.559 [4 per cell]
Al: 0.370 0.248 0.046 [4 per cell]
Al: 0.377 0.140 0.295 [4 per cell]
Al: 0.443 0.649 0.705 [4 per cell]
O: 0.000 0.059 0.852 [4 per cell]
O: 0.005 0.743 0.631 [4 per cell]
O: 0.008 0.050 0.362 [4 per cell]
O: 0.009 0.656 0.869 [4 per cell]
O: 0.019 0.646 0.377 [4 per cell]
O: 0.242 0.649 0.711 [4 per cell]
O: 0.244 0.238 0.206 [4 per cell]
O: 0.245 0.056 0.710 [4 per cell]
O: 0.245 0.150 0.971 [4 per cell]
O: 0.249 0.054 0.199 [4 per cell]
O: 0.249 0.556 0.447 [4 per cell]
O: 0.253 0.651 0.219 [4 per cell]
O: 0.255 0.738 0.454 [4 per cell]
O: 0.259 0.552 0.961 [4 per cell]
O: 0.260 0.150 0.461 [4 per cell]
O: 0.481 0.149 0.129 [4 per cell]
O: 0.492 0.153 0.621 [4 per cell]
O: 0.493 0.550 0.608 [4 per cell]
O: 0.496 0.243 0.383 [4 per cell]
O: 0.497 0.559 0.105 [4 per cell]

The formation energy comes out at -78.29 kcal/mol of atoms. Its crystal system is monoclinic.